Record 1
# PBE+U Mn5Cr4O12, relaxed
data_Mn5Cr4O12
_cell_length_a 6.172
_cell_length_b 8.525
_cell_length_c 10.594
_cell_angle_alpha 113.59
_cell_angle_beta 106.88
_cell_angle_gamma 90.19
_symmetry_space_group_name_H-M 'P -1'
_symmetry_Int_Tables_number 2
_symmetry_space_group_name_Hall '-P 1'
loop_
_atom_site_label
_atom_site_type_symbol
_atom_site_fract_x
_atom_site_fract_y
_atom_site_fract_z
Mn1 Mn 0.000 0.000 0.000
Mn2 Mn 0.000 0.500 0.500
Mn3 Mn 0.084 0.459 0.166
Mn4 Mn 0.250 0.875 0.501
Mn5 Mn 0.337 0.835 0.170
Mn6 Mn 0.414 0.792 0.833
Cr1 Cr 0.166 0.167 0.833
Cr2 Cr 0.170 0.166 0.334
Cr3 Cr 0.332 0.334 0.666
Cr4 Cr 0.500 0.500 0.000
Cr5 Cr 0.500 0.500 0.500
O1 O 0.007 0.774 0.018
O2 O 0.028 0.269 0.500
O3 O 0.132 0.927 0.835
O4 O 0.144 0.924 0.321
O5 O 0.188 0.410 0.347
O6 O 0.197 0.406 0.834
O7 O 0.325 0.067 0.179
O8 O 0.331 0.562 0.649
O9 O 0.335 0.106 0.685
O10 O 0.362 0.602 0.166
O11 O 0.470 0.262 0.502
O12 O 0.477 0.257 0.987
# - E_form (kJ per mole of atoms) = -214.78



Record 2
# PBE+U Y2MgCr3O9, relaxed
data_Y2MgCr3O9
_cell_length_a 3.805
_cell_length_b 3.805
_cell_length_c 11.747
_cell_angle_alpha 90.00
_cell_angle_beta 90.00
_cell_angle_gamma 90.00
_symmetry_space_group_name_H-M 'P 4/m m m'
_symmetry_Int_Tables_number 123
_symmetry_space_group_name_Hall '-P 4 2'
loop_
_atom_site_label
_atom_site_type_symbol
_atom_site_fract_x
_atom_site_fract_y
_atom_site_fract_z
Y1 Y 0.000 0.000 0.184
Mg1 Mg 0.000 0.000 0.500
Cr1 Cr 0.500 0.500 0.000
Cr2 Cr 0.500 0.500 0.335
O1 O 0.000 0.500 0.000
O2 O 0.000 0.500 0.318
O3 O 0.500 0.500 0.164
O4 O 0.500 0.500 0.500
# - distance to the lowest polymorph of the same formula (meV per atom) = 0
# - E_form (kJ per mole of atoms) = -250.83



Record 3
# PBE+U Na2Ni5O10, relaxed
data_Na2Ni5O10
_cell_length_a 4.901
_cell_length_b 6.529
_cell_length_c 7.097
_cell_angle_alpha 113.14
_cell_angle_beta 96.52
_cell_angle_gamma 103.84
_symmetry_space_group_name_H-M 'P -1'
_symmetry_Int_Tables_number 2
_symmetry_space_group_name_Hall '-P 1'
loop_
_atom_site_label
_atom_site_type_symbol
_atom_site_fract_x
_atom_site_fract_y
_atom_site_fract_z
Na1 Na 0.119 0.227 0.228
Ni1 Ni 0.101 0.701 0.197
Ni2 Ni 0.299 0.099 0.604
Ni3 Ni 0.500 0.500 0.000
O1 O 0.004 0.791 0.462
O2 O 0.173 0.600 0.926
O3 O 0.186 0.182 0.871
O4 O 0.388 0.999 0.324
O5 O 0.407 0.593 0.263
# - E_form (kJ per mole of atoms) = -102.74



Record 4
# PBE+U Mn2Fe3NiP6O24, relaxed
data_Mn2Fe3NiP6O24
_cell_length_a 8.6787
_cell_length_b 8.6787
_cell_length_c 20.9012
_cell_angle_alpha 90.00
_cell_angle_beta 90.00
_cell_angle_gamma 120.00
_symmetry_space_group_name_H-M 'R 3'
_symmetry_Int_Tables_number 146
_symmetry_space_group_name_Hall 'R 3'
loop_
_atom_site_label
_atom_site_type_symbol
_atom_site_fract_x
_atom_site_fract_y
_atom_site_fract_z
Mn1 Mn 0.0000 0.0000 0.0000
Mn2 Mn 0.0000 0.0000 0.4994
Fe1 Fe 0.0000 0.0000 0.3536
Fe2 Fe 0.0000 0.0000 0.6453
Fe3 Fe 0.0000 0.0000 0.8538
Ni1 Ni 0.0000 0.0000 0.1425
P1 P 0.0000 0.2954 0.2490
P2 P 0.0002 0.7042 0.7493
O1 O 0.0066 0.2004 0.3093
O2 O 0.0084 0.8066 0.8098
O3 O 0.0160 0.1814 0.9240
O4 O 0.0161 0.8342 0.4237
O5 O 0.1323 0.4622 0.8542
O6 O 0.1405 0.6755 0.3554
O7 O 0.1663 0.4870 0.2424
O8 O 0.1672 0.6831 0.7404
# - E_form (kJ per mole of atoms) = -218.16



Record 5
# PBE+U Li9Co3P8O29, relaxed
data_Li9Co3P8O29
_cell_length_a 9.6649
_cell_length_b 9.6649
_cell_length_c 13.6865
_cell_angle_alpha 90.00
_cell_angle_beta 90.00
_cell_angle_gamma 120.00
_symmetry_space_group_name_H-M 'P -3 c 1'
_symmetry_Int_Tables_number 165
_symmetry_space_group_name_Hall '-P 3 2"c'
loop_
_atom_site_label
_atom_site_type_symbol
_atom_site_fract_x
_atom_site_fract_y
_atom_site_fract_z
Li1 Li 0.0000 0.0000 0.0000
Li2 Li 0.1002 0.3367 0.4360
Li3 Li 0.3333 0.6667 0.1197
Co1 Co 0.0000 0.4338 0.2500
P1 P 0.0923 0.3211 0.6574
P2 P 0.3333 0.6667 0.3712
O1 O 0.0000 0.2125 0.7500
O2 O 0.0026 0.2283 0.5668
O3 O 0.0775 0.3360 0.1577
O4 O 0.1075 0.4864 0.6680
O5 O 0.1856 0.5086 0.3343
O6 O 0.3333 0.6667 0.4822
# - distance to the lowest polymorph of the same formula (meV per atom) = 0
# - E_form (kJ per mole of atoms) = -239.91



Record 6
# PBE+U NaCaFe3P4O16, relaxed
data_NaCaFe3P4O16
_cell_length_a 8.817
_cell_length_b 29.607
_cell_length_c 9.535
_cell_angle_alpha 90.00
_cell_angle_beta 90.00
_cell_angle_gamma 90.00
_symmetry_space_group_name_H-M 'P b c a'
_symmetry_Int_Tables_number 61
_symmetry_space_group_name_Hall '-P 2ac 2ab'
loop_
_atom_site_label
_atom_site_type_symbol
_atom_site_fract_x
_atom_site_fract_y
_atom_site_fract_z
Na1 Na 0.086 0.056 0.094
Ca1 Ca 0.163 0.191 0.029
Fe1 Fe 0.050 0.042 0.699
Fe2 Fe 0.106 0.196 0.650
Fe3 Fe 0.222 0.625 0.319
P1 P 0.056 0.620 0.044
P2 P 0.094 0.633 0.617
P3 P 0.189 0.733 0.359
P4 P 0.231 0.016 0.404
O1 O 0.005 0.171 0.822
O2 O 0.015 0.742 0.367
O3 O 0.031 0.580 0.950
O4 O 0.045 0.586 0.666
O5 O 0.056 0.667 0.970
O6 O 0.057 0.637 0.454
O7 O 0.058 0.121 0.331
O8 O 0.086 0.010 0.313
O9 O 0.155 0.022 0.874
O10 O 0.191 0.561 0.358
O11 O 0.200 0.016 0.564
O12 O 0.219 0.616 0.111
O13 O 0.226 0.692 0.266
O14 O 0.234 0.140 0.637
O15 O 0.234 0.224 0.801
O16 O 0.245 0.228 0.509
# - E_form (kJ per mole of atoms) = -245.91



| no. | DFT total energy (eV per cell) |
| --- | --- |
| 1 | -331.93 |
| 2 | -114.84 |
| 3 | -79.55 |
| 4 | -759.04 |
| 5 | -644.61 |
| 6 | -1404.12 |